1.
FeHgO2F5 (PBE with a Hubbard U, optimized geometry); DFT formation energy = -1.28 eV/atom; mass density = 4.8 g/cm³; symmetry = Pbam; total energy = -3.757 eV per atom; spin magnetization = 9.000 μB/f.u.
1.0
7.207 0.000 0.000
0.000 9.520 0.000
0.000 0.000 3.883
Fe Hg O F
2 2 4 10
direct
0.000 0.000 0.000 Fe
0.500 0.500 0.000 Fe
0.000 0.500 0.500 Hg
0.500 0.000 0.500 Hg
0.091 0.288 0.500 O
0.409 0.788 0.500 O
0.591 0.212 0.500 O
0.909 0.712 0.500 O
0.000 0.000 0.500 F
0.023 0.795 0.000 F
0.232 0.514 0.000 F
0.268 0.014 0.000 F
0.477 0.295 0.000 F
0.500 0.500 0.500 F
0.523 0.705 0.000 F
0.732 0.986 0.000 F
0.768 0.486 0.000 F
0.977 0.205 0.000 F


2.
MnRePb2O6 (PBE with a Hubbard U, optimized geometry); DFT formation energy = -1.80 eV/atom; mass density = 9.2 g/cm³; symmetry = Fm-3m; total energy = -7.094 eV per atom; spin magnetization = 3.989 μB/f.u.
1.0
0.000 4.081 4.081
4.081 0.000 4.081
4.081 4.081 0.000
Mn Re Pb O
1 1 2 6
direct
0.000 0.000 0.000 Mn
0.500 0.500 0.500 Re
0.250 0.250 0.250 Pb
0.750 0.750 0.750 Pb
0.264 0.264 0.736 O
0.264 0.736 0.264 O
0.264 0.736 0.736 O
0.736 0.264 0.264 O
0.736 0.264 0.736 O
0.736 0.736 0.264 O


3.
LiVPO5 (PBE with a Hubbard U, optimized geometry); DFT formation energy = -2.66 eV/atom; mass density = 3.2 g/cm³; symmetry = P-1; total energy = -7.161 eV per atom; spin magnetization = 1.000 μB/f.u.
1.0
6.832 0.000 0.000
3.143 6.424 0.000
0.210 -0.046 8.038
Li V P O
4 4 4 20
direct
0.208 0.313 0.427 Li
0.285 0.801 0.079 Li
0.715 0.199 0.921 Li
0.792 0.687 0.573 Li
0.252 0.523 0.765 V
0.256 0.019 0.737 V
0.744 0.981 0.263 V
0.748 0.477 0.235 V
0.240 0.744 0.414 P
0.263 0.249 0.088 P
0.737 0.751 0.912 P
0.760 0.256 0.586 P
0.057 0.412 0.179 O
0.070 0.876 0.285 O
0.149 0.619 0.527 O
0.217 0.090 0.986 O
0.235 0.757 0.832 O
0.258 0.249 0.674 O
0.311 0.880 0.521 O
0.368 0.357 0.971 O
0.418 0.140 0.232 O
0.435 0.593 0.306 O
0.565 0.407 0.694 O
0.582 0.860 0.768 O
0.632 0.643 0.029 O
0.689 0.120 0.479 O
0.742 0.751 0.326 O
0.765 0.243 0.168 O
0.783 0.910 0.014 O
0.851 0.381 0.473 O
0.930 0.124 0.715 O
0.943 0.588 0.821 O


Q: Look up the spin magnetization of the third one.
A: 1.000 μB/f.u.


Q: Look up the mass density of the first one.
A: 4.8 g/cm³


Q: The highest total energy belongs to which entry?
A: FeHgO2F5